No. 1
# Ba3CdGe2O8, relaxed, DFT meta-GGA r2SCAN
# Formation enthalpy at 0 K in meV per atom: -2395
# Size of the total moment in μB per formula unit: 0.00
# Space-group type: No. 164
# Electronic total energy in eV per atom: -14.90
data_Ba3CdGe2O8
_chemical_formula_sum 'Ba3 Cd1 Ge2 O8'
_symmetry_space_group_name_H-M 'P 1'
_symmetry_Int_Tables_number 1
_cell_length_a 5.872
_cell_length_b 5.872
_cell_length_c 7.534
_cell_angle_alpha 90.00
_cell_angle_beta 90.00
_cell_angle_gamma 120.00
loop_
_symmetry_equiv_pos_as_xyz
'x,y,z'
loop_
_atom_site_label
_atom_site_type_symbol
_atom_site_fract_x
_atom_site_fract_y
_atom_site_fract_z
_atom_site_occupancy
Ba1 Ba 0.667 0.333 0.342 1
Ba2 Ba 0.333 0.667 0.658 1
Ba3 Ba 0.000 0.000 0.000 1
Cd1 Cd 0.000 0.000 0.500 1
Ge1 Ge 0.667 0.333 0.785 1
Ge2 Ge 0.333 0.667 0.215 1
O1 O 0.667 0.333 0.014 1
O2 O 0.333 0.667 0.986 1
O3 O 0.827 0.654 0.693 1
O4 O 0.173 0.346 0.307 1
O5 O 0.827 0.173 0.693 1
O6 O 0.173 0.827 0.307 1
O7 O 0.346 0.173 0.693 1
O8 O 0.654 0.827 0.307 1

No. 2
# Ca2MgC3O9, relaxed, DFT meta-GGA r2SCAN
# Relative energy among the computed polymorphs in eV/f.u.: 0.085
# Formation enthalpy at 0 K in meV per atom: -2340
# Size of the total moment in μB per formula unit: 0.00
# Space-group type: No. 2
# Electronic total energy in eV per atom: -9.13
data_Ca2MgC3O9
_chemical_formula_sum 'Ca4 Mg2 C6 O18'
_symmetry_space_group_name_H-M 'P 1'
_symmetry_Int_Tables_number 1
_cell_length_a 6.118
_cell_length_b 7.810
_cell_length_c 8.445
_cell_angle_alpha 110.98
_cell_angle_beta 103.24
_cell_angle_gamma 106.63
loop_
_symmetry_equiv_pos_as_xyz
'x,y,z'
loop_
_atom_site_label
_atom_site_type_symbol
_atom_site_fract_x
_atom_site_fract_y
_atom_site_fract_z
_atom_site_occupancy
Ca1 Ca 0.000 0.500 0.000 1
Ca2 Ca 0.343 0.844 0.667 1
Ca3 Ca 0.657 0.156 0.333 1
Ca4 Ca 0.000 0.000 0.000 1
Mg1 Mg 0.665 0.663 0.332 1
Mg2 Mg 0.335 0.337 0.668 1
C1 C 0.499 0.268 0.002 1
C2 C 0.817 0.577 0.655 1
C3 C 0.158 0.921 0.345 1
C4 C 0.501 0.732 0.998 1
C5 C 0.842 0.079 0.655 1
C6 C 0.183 0.423 0.345 1
O1 O 0.669 0.446 0.100 1
O2 O 0.007 0.745 0.755 1
O3 O 0.330 0.098 0.448 1
O4 O 0.715 0.480 0.733 1
O5 O 0.046 0.820 0.415 1
O6 O 0.415 0.162 0.079 1
O7 O 0.893 0.157 0.829 1
O8 O 0.266 0.495 0.520 1
O9 O 0.587 0.809 0.174 1
O10 O 0.331 0.554 0.900 1
O11 O 0.670 0.902 0.552 1
O12 O 0.993 0.255 0.245 1
O13 O 0.285 0.520 0.267 1
O14 O 0.585 0.838 0.921 1
O15 O 0.954 0.180 0.585 1
O16 O 0.107 0.843 0.171 1
O17 O 0.413 0.191 0.826 1
O18 O 0.734 0.505 0.480 1

No. 3
# EuAl2Au2, relaxed, DFT meta-GGA r2SCAN
# Formation enthalpy at 0 K in meV per atom: -748
# Size of the total moment in μB per formula unit: 7.16
# Space-group type: No. 129
# Electronic total energy in eV per atom: -31.38
data_EuAl2Au2
_chemical_formula_sum 'Eu2 Al4 Au4'
_symmetry_space_group_name_H-M 'P 1'
_symmetry_Int_Tables_number 1
_cell_length_a 4.432
_cell_length_b 4.432
_cell_length_c 10.481
_cell_angle_alpha 90.00
_cell_angle_beta 90.00
_cell_angle_gamma 90.00
loop_
_symmetry_equiv_pos_as_xyz
'x,y,z'
loop_
_atom_site_label
_atom_site_type_symbol
_atom_site_fract_x
_atom_site_fract_y
_atom_site_fract_z
_atom_site_occupancy
Eu1 Eu 0.750 0.750 0.751 1
Eu2 Eu 0.250 0.250 0.249 1
Al1 Al 0.750 0.750 0.128 1
Al2 Al 0.250 0.250 0.872 1
Al3 Al 0.750 0.250 0.500 1
Al4 Al 0.250 0.750 0.500 1
Au1 Au 0.750 0.750 0.370 1
Au2 Au 0.250 0.250 0.630 1
Au3 Au 0.750 0.250 0.000 1
Au4 Au 0.250 0.750 0.000 1

No. 4
# Cu2As2O7, relaxed, DFT meta-GGA r2SCAN
# Relative energy among the computed polymorphs in eV/f.u.: 0.000
# Formation enthalpy at 0 K in meV per atom: -1115
# Size of the total moment in μB per formula unit: 2.00
# Space-group type: No. 15
# Electronic total energy in eV per atom: -9.56
data_Cu2As2O7
_chemical_formula_sum 'Cu4 As4 O14'
_symmetry_space_group_name_H-M 'P 1'
_symmetry_Int_Tables_number 1
_cell_length_a 5.504
_cell_length_b 5.504
_cell_length_c 9.867
_cell_angle_alpha 75.68
_cell_angle_beta 75.68
_cell_angle_gamma 96.54
loop_
_symmetry_equiv_pos_as_xyz
'x,y,z'
loop_
_atom_site_label
_atom_site_type_symbol
_atom_site_fract_x
_atom_site_fract_y
_atom_site_fract_z
_atom_site_occupancy
Cu1 Cu 0.725 0.859 0.990 1
Cu2 Cu 0.141 0.275 0.510 1
Cu3 Cu 0.275 0.141 0.010 1
Cu4 Cu 0.859 0.725 0.490 1
As1 As 0.505 0.978 0.705 1
As2 As 0.495 0.022 0.295 1
As3 As 0.022 0.495 0.795 1
As4 As 0.978 0.505 0.205 1
O1 O 0.478 0.975 0.133 1
O2 O 0.791 0.609 0.888 1
O3 O 0.522 0.025 0.867 1
O4 O 0.975 0.478 0.633 1
O5 O 0.204 0.046 0.391 1
O6 O 0.609 0.791 0.388 1
O7 O 0.391 0.209 0.612 1
O8 O 0.669 0.331 0.250 1
O9 O 0.954 0.796 0.109 1
O10 O 0.796 0.954 0.609 1
O11 O 0.025 0.522 0.367 1
O12 O 0.209 0.391 0.112 1
O13 O 0.331 0.669 0.750 1
O14 O 0.046 0.204 0.891 1

No. 5
# Sm2ZrSe5, relaxed, DFT meta-GGA r2SCAN
# Formation enthalpy at 0 K in meV per atom: -1967
# Size of the total moment in μB per formula unit: 0.00
# Space-group type: No. 62
# Electronic total energy in eV per atom: -21.19
data_Sm2ZrSe5
_chemical_formula_sum 'Sm8 Zr4 Se20'
_symmetry_space_group_name_H-M 'P 1'
_symmetry_Int_Tables_number 1
_cell_length_a 7.694
_cell_length_b 8.213
_cell_length_c 12.232
_cell_angle_alpha 90.00
_cell_angle_beta 90.00
_cell_angle_gamma 90.00
loop_
_symmetry_equiv_pos_as_xyz
'x,y,z'
loop_
_atom_site_label
_atom_site_type_symbol
_atom_site_fract_x
_atom_site_fract_y
_atom_site_fract_z
_atom_site_occupancy
Sm1 Sm 0.975 0.003 0.179 1
Sm2 Sm 0.525 0.497 0.679 1
Sm3 Sm 0.025 0.503 0.821 1
Sm4 Sm 0.475 0.997 0.321 1
Sm5 Sm 0.025 0.997 0.821 1
Sm6 Sm 0.475 0.503 0.321 1
Sm7 Sm 0.975 0.497 0.179 1
Sm8 Sm 0.525 0.003 0.679 1
Zr1 Zr 0.421 0.750 0.006 1
Zr2 Zr 0.079 0.750 0.506 1
Zr3 Zr 0.579 0.250 0.994 1
Zr4 Zr 0.921 0.250 0.494 1
Se1 Se 0.839 0.963 0.408 1
Se2 Se 0.661 0.537 0.908 1
Se3 Se 0.161 0.463 0.592 1
Se4 Se 0.339 0.037 0.092 1
Se5 Se 0.161 0.037 0.592 1
Se6 Se 0.339 0.463 0.092 1
Se7 Se 0.839 0.537 0.408 1
Se8 Se 0.661 0.963 0.908 1
Se9 Se 0.666 0.750 0.180 1
Se10 Se 0.834 0.750 0.680 1
Se11 Se 0.334 0.250 0.820 1
Se12 Se 0.166 0.250 0.320 1
Se13 Se 0.448 0.750 0.504 1
Se14 Se 0.052 0.750 0.004 1
Se15 Se 0.552 0.250 0.496 1
Se16 Se 0.948 0.250 0.996 1
Se17 Se 0.188 0.750 0.293 1
Se18 Se 0.312 0.750 0.793 1
Se19 Se 0.812 0.250 0.707 1
Se20 Se 0.688 0.250 0.207 1

No. 6
# CaNdAg2, relaxed, DFT meta-GGA r2SCAN
# Formation enthalpy at 0 K in meV per atom: -301
# Size of the total moment in μB per formula unit: 0.00
# Space-group type: No. 225
# Electronic total energy in eV per atom: -20.09
data_CaNdAg2
_chemical_formula_sum 'Ca1 Nd1 Ag2'
_symmetry_space_group_name_H-M 'P 1'
_symmetry_Int_Tables_number 1
_cell_length_a 5.238
_cell_length_b 5.238
_cell_length_c 5.238
_cell_angle_alpha 60.00
_cell_angle_beta 60.00
_cell_angle_gamma 60.00
loop_
_symmetry_equiv_pos_as_xyz
'x,y,z'
loop_
_atom_site_label
_atom_site_type_symbol
_atom_site_fract_x
_atom_site_fract_y
_atom_site_fract_z
_atom_site_occupancy
Ca1 Ca 0.500 0.500 0.500 1
Nd1 Nd 0.000 0.000 0.000 1
Ag1 Ag 0.750 0.750 0.750 1
Ag2 Ag 0.250 0.250 0.250 1

Q: Which formula does entry 6 have?
A: CaNdAg2